1.
An optimized crystal structure of Na2Sm2MgTi2O8, computed with GGA-PBE.

POSCAR file:
```
Na2Sm2MgTi2O8
1.0
-0.890 -1.543 3.480
1.795 -3.322 -1.014
10.386 4.230 4.532
O Na Mg Ti Sm
8 2 1 2 2
Cartesian
2.368 -0.934 3.485
3.541 -1.893 1.165
10.296 0.268 6.047
0.995 -0.903 0.952
6.605 -1.235 4.436
7.581 1.189 5.760
9.093 0.369 3.587
4.686 0.600 2.563
6.841 1.478 3.503
4.450 -2.113 3.496
4.974 0.127 4.623
2.899 -0.127 1.783
8.392 -0.507 5.215
1.831 -3.179 2.353
9.460 2.544 4.646
```

offset from the most stable computed form	1.50	eV per formula unit
density	5.3	g/cm3
energy relative to the elements	-2.93	eV per atom
symmetry	P-4m2



2.
An optimized crystal structure of LiYS2, computed with GGA-PBE.

POSCAR file:
```
LiYS2
1.0
0.610 1.958 -3.336
0.610 -1.958 -3.336
-5.678 0.000 -3.336
Y Li S
1 1 2
Cartesian
0.000 0.000 0.000
-2.229 0.000 -5.003
-3.339 0.000 -7.504
-1.120 0.000 -2.503
```

density	3.2	g/cm3
energy relative to the elements	-2.10	eV per atom
symmetry	R-3m



3.
An optimized crystal structure of Na10Hf4Ta4Si11SO48, computed with GGA-PBE.

POSCAR file:
```
Na10Hf4Ta4Si11SO48
1.0
18.090 -0.004 0.008
-4.524 7.845 -0.003
0.010 -0.004 22.790
Si Na O Hf S Ta
33 30 144 12 3 12
Cartesian
12.245 0.348 13.313
1.916 2.600 1.875
1.349 2.926 9.527
2.642 5.205 20.863
12.228 4.838 13.305
10.303 7.497 9.494
7.716 7.487 20.892
1.254 7.521 9.475
3.225 4.880 13.305
5.774 0.338 1.904
6.429 5.244 9.519
-1.328 2.319 5.694
7.715 2.319 5.698
5.858 4.913 1.874
10.363 2.239 17.097
7.184 2.625 13.308
3.192 5.518 5.703
12.236 5.519 5.703
16.197 2.622 13.301
3.211 0.346 13.293
11.652 5.174 20.876
-1.301 7.535 20.907
-2.615 5.241 9.532
15.444 0.013 17.103
5.805 5.580 17.110
10.939 2.600 1.888
7.749 2.958 20.887
10.378 2.936 9.541
-3.147 5.536 17.073
1.901 7.808 17.087
14.822 0.326 1.920
14.909 4.908 1.854
-1.282 2.953 20.900
-2.868 5.499 13.309
4.462 2.674 18.990
11.911 5.463 1.963
15.257 0.256 20.885
14.832 5.206 20.844
5.820 -0.002 5.695
4.667 7.825 22.785
10.339 7.841 5.706
4.509 2.682 7.536
9.198 0.005 11.410
0.136 0.078 0.013
12.346 5.236 9.458
2.867 5.464 1.943
0.127 0.070 11.376
7.390 2.377 9.451
7.375 2.843 17.079
13.551 2.681 7.532
9.021 5.156 3.877
13.576 2.557 18.954
10.712 7.569 13.299
7.805 2.593 1.942
-0.017 5.164 3.853
3.311 5.236 9.457
0.028 5.230 15.292
11.946 5.000 17.086
8.971 5.229 15.152
-1.209 2.615 1.936
1.646 7.603 13.340
16.438 2.379 9.443
6.180 0.248 20.873
15.177 2.878 14.569
5.692 3.931 3.163
14.207 4.164 0.541
-1.663 5.410 10.868
10.706 5.003 19.550
14.142 4.078 16.913
-0.655 3.680 22.243
7.422 0.183 1.994
5.206 1.199 9.690
-0.556 6.878 19.624
-3.618 6.512 9.426
2.850 2.934 3.154
-3.486 6.445 15.750
3.555 1.299 11.995
0.908 1.331 1.976
11.846 7.569 15.783
15.239 2.383 11.980
9.659 3.737 17.262
10.829 0.170 6.909
6.115 7.655 20.740
5.199 4.077 17.009
3.954 1.137 21.104
12.872 6.237 7.043
10.027 6.468 17.274
9.673 6.864 8.148
14.163 6.337 1.991
14.190 0.971 3.257
-2.743 7.670 4.489
-1.661 4.909 8.269
-1.001 6.523 22.184
16.344 0.229 18.446
12.539 3.933 14.630
0.970 3.954 1.680
1.547 5.527 5.793
-0.686 3.809 5.791
8.061 1.239 13.434
3.845 6.404 13.449
1.013 6.462 17.171
11.971 2.475 16.926
2.889 7.677 15.755
7.488 4.997 1.683
12.588 6.521 20.766
3.470 3.939 14.587
9.947 1.328 1.974
11.891 2.937 3.152
5.151 0.977 3.254
12.948 4.139 12.003
3.502 6.459 4.382
10.641 0.196 13.479
8.056 6.540 22.188
-1.031 6.646 5.807
0.625 6.871 8.137
1.688 5.472 22.204
0.701 3.589 17.210
17.070 1.266 13.453
12.982 1.085 14.583
10.004 3.954 1.674
7.421 5.426 10.826
8.052 3.898 19.568
11.937 2.426 0.579
7.421 0.207 18.407
5.538 1.308 0.595
5.525 6.535 15.799
14.482 1.323 16.913
12.883 4.030 5.608
10.053 1.315 18.408
13.016 1.088 21.060
8.482 6.746 13.135
10.214 3.912 8.245
3.965 0.993 14.569
9.638 1.536 15.808
12.007 2.848 9.732
8.363 3.809 5.795
1.780 0.171 6.907
3.829 6.240 7.041
12.542 1.194 5.592
8.018 6.646 5.809
3.495 1.193 5.590
14.242 1.179 9.702
5.180 6.356 18.409
6.289 2.862 14.643
10.592 5.529 5.792
-0.695 1.596 4.356
10.058 6.541 10.813
1.698 4.957 19.590
9.647 1.502 9.408
8.124 3.949 13.119
9.674 3.716 10.812
-1.556 5.329 17.181
0.741 1.612 15.884
6.072 2.311 5.609
5.559 1.356 16.997
-1.011 3.997 13.145
12.547 6.459 4.381
8.456 6.754 19.611
8.408 3.686 22.203
1.163 3.911 8.243
3.617 3.910 21.082
5.430 6.515 9.423
0.604 1.496 9.402
9.718 6.649 1.697
2.790 2.386 16.982
-0.692 1.436 20.801
7.377 4.908 8.249
8.352 1.601 4.361
2.973 2.845 9.714
14.713 3.915 3.132
17.072 1.375 7.026
10.703 5.439 22.184
6.304 7.670 4.492
8.386 1.455 20.726
-1.555 5.000 1.686
-1.103 3.946 19.644
6.202 2.379 12.000
12.935 6.326 13.416
1.595 5.111 13.090
8.029 1.379 7.020
7.454 5.399 17.278
11.948 7.651 9.413
15.153 2.790 21.103
0.624 3.695 10.806
1.603 0.119 13.377
16.466 0.189 1.990
3.839 4.030 5.607
2.900 7.652 9.408
6.131 2.754 21.051
0.668 6.656 1.701
-0.613 6.702 13.086
12.652 3.885 21.026
1.046 1.432 18.301
3.523 6.603 20.731
12.572 1.297 12.007
15.115 2.311 5.610
0.987 6.542 10.785
10.623 5.085 13.150
5.158 4.149 0.599
5.494 3.888 9.718
3.876 4.176 11.961
14.207 6.215 18.395
14.555 1.296 0.601
-2.921 7.602 20.771
2.907 2.425 0.577
14.526 3.882 9.731
5.125 6.347 2.000
-0.001 5.299 18.550
4.478 7.819 8.087
13.577 7.797 14.714
13.549 7.817 19.479
9.080 5.126 7.174
13.599 2.710 4.230
18.051 0.019 3.315
8.993 0.019 3.313
0.035 5.130 7.170
13.526 7.813 8.091
4.559 2.617 15.625
4.557 2.710 4.226
1.318 2.273 17.095
11.662 -0.003 5.701
-1.904 7.842 5.696
9.005 5.202 11.877
0.006 5.250 0.436
4.512 2.659 22.312
9.015 5.251 18.518
4.519 2.600 10.970
13.535 2.595 22.328
9.016 5.245 0.444
0.022 5.204 11.859
4.552 7.835 19.468
4.552 7.825 14.722
13.591 2.592 15.683
13.551 2.567 10.949
```

density	4.3	g/cm3
energy relative to the elements	-3.14	eV per atom
symmetry	P1



Number 1: energy with MP2020 corrections -113.1 eV/cell, electronic total energy -107.6 eV per cell. Number 2: energy with MP2020 corrections -25.0 eV/cell, electronic total energy -24.0 eV per cell. Number 3: energy with MP2020 corrections -1939.8 eV/cell, electronic total energy -1840.9 eV per cell.